# 1
{
  "formula": "Li9Mn2Co5O16",
  "functional": "GGA+U",
  "state": "relaxed",
  "final_energy_ev_per_cell": -186.2,
  "polymorph_energy_mev_per_atom": 36,
  "delta_e_f_ev_per_atom": -1.83,
  "lattice": [[5.8356, 0.0000, 0.0000], [-2.8659, -5.9089, 0.0000], [-2.8936, 0.1684, -8.2345]],
  "species": ["Mn", "O", "Co", "Co", "O", "Mn", "Li", "O", "Co", "O", "O", "Co", "Li", "Co", "Li", "O", "Li", "O", "Li", "O", "O", "Li", "O", "O", "O", "Li", "O", "Li", "O", "O", "O", "Li"],
  "fractional_positions": [[0.9989, 0.9986, 0.9982], [0.3880, 0.4872, 0.2481], [0.9978, 0.7425, 0.7384], [0.4999, 0.4984, 0.5019], [0.8636, 0.2203, 0.0151], [0.5074, 0.2523, 0.2518], [0.7495, 0.2520, 0.7424], [0.8804, 0.9938, 0.7674], [0.4985, 0.9990, 0.0012], [0.3897, 0.7464, 0.5107], [0.6104, 0.2568, 0.4817], [0.0012, 0.2525, 0.2537], [0.2483, 0.5060, 0.0019], [0.4831, 0.7408, 0.7399], [0.7562, 0.0085, 0.5024], [0.3770, 0.9882, 0.7655], [0.7504, 0.7468, 0.2603], [0.6442, 0.7810, 0.9978], [0.7497, 0.4976, 0.9956], [0.6056, 0.0110, 0.2377], [0.8698, 0.7509, 0.5103], [0.2575, 0.7464, 0.2579], [0.1269, 0.2603, 0.4794], [0.1348, 0.0227, 0.2376], [0.1393, 0.5152, 0.7623], [0.2445, 0.2543, 0.7418], [0.1375, 0.7798, 0.9962], [0.2479, 0.9960, 0.5011], [0.8522, 0.4696, 0.2440], [0.3661, 0.2240, 0.0100], [0.6260, 0.5024, 0.7468], [0.9978, 0.4989, 0.5008]]
}

# 2
{
  "formula": "Li9Mn2Co5O16",
  "functional": "GGA+U",
  "state": "relaxed",
  "final_energy_ev_per_cell": -185.1,
  "polymorph_energy_mev_per_atom": 70,
  "delta_e_f_ev_per_atom": -1.79,
  "lattice": [[2.8755, 0.0000, 0.0000], [0.0000, 5.8849, 0.0000], [0.0000, 0.0448, 17.1127]],
  "species": ["Co", "Li", "O", "O", "Co", "O", "Co", "Li", "O", "O", "O", "Li", "Li", "O", "O", "O", "Co", "Mn", "O", "O", "Li", "O", "Li", "Co", "Li", "Mn", "Li", "O", "Li", "O", "O", "O"],
  "fractional_positions": [[0.5000, 0.2377, 0.3905], [0.5000, 0.7503, 0.8702], [0.5000, 0.2698, 0.7515], [0.0000, 0.0145, 0.8724], [0.5000, 0.7524, 0.1288], [0.0000, 0.5268, 0.6277], [0.5000, 0.7582, 0.6116], [0.5000, 0.2456, 0.1257], [0.5000, 0.2558, 0.4939], [0.0000, 0.9739, 0.1289], [0.0000, 0.4773, 0.3635], [0.0000, 0.5019, 0.9942], [0.0000, 0.5002, 0.5040], [0.0000, 0.4857, 0.8735], [0.5000, 0.7478, 0.5061], [0.5000, 0.7690, 0.0026], [0.0000, 0.5109, 0.7474], [0.0000, 0.4966, 0.2530], [0.0000, 0.0189, 0.3733], [0.5000, 0.2780, 0.2457], [0.5000, 0.7563, 0.3835], [0.0000, 0.9749, 0.6255], [0.0000, 0.9940, 0.7462], [0.5000, 0.2489, 0.8683], [0.5000, 0.2471, 0.6177], [0.0000, 0.9988, 0.9988], [0.0000, 0.0021, 0.2571], [0.5000, 0.2283, 0.0004], [0.0000, 0.9993, 0.4999], [0.5000, 0.7329, 0.7499], [0.5000, 0.7196, 0.2533], [0.0000, 0.5263, 0.1350]]
}

# 3
{
  "formula": "MgV2Cd2O7",
  "functional": "GGA+U",
  "state": "relaxed",
  "final_energy_ev_per_cell": -73.6,
  "polymorph_energy_mev_per_atom": 0,
  "delta_e_f_ev_per_atom": -2.13,
  "lattice": [[5.4179, 0.0724, -0.7167], [-1.1098, 5.4387, -1.8851], [-0.0084, -0.5360, 5.8376]],
  "species": ["V", "O", "Cd", "O", "O", "V", "O", "Cd", "O", "O", "O", "Mg"],
  "fractional_positions": [[0.1137, 0.7373, 0.7428], [0.0000, 0.0006, 0.9994], [0.5000, 0.3032, 0.6968], [0.7891, 0.5442, 0.5708], [0.2109, 0.4292, 0.4558], [0.8863, 0.2572, 0.2627], [0.7581, 0.4418, 0.0831], [0.5000, 0.6610, 0.3390], [0.7425, 0.0287, 0.3598], [0.2575, 0.6402, 0.9713], [0.2419, 0.9169, 0.5582], [0.0000, 0.7898, 0.2102]]
}

# 4
{
  "formula": "LiCoPO4",
  "functional": "GGA+U",
  "state": "relaxed",
  "final_energy_ev_per_cell": -185.8,
  "polymorph_energy_mev_per_atom": 36,
  "delta_e_f_ev_per_atom": -2.37,
  "lattice": [[-3.0561, 4.5694, 0.0000], [0.0000, 0.0000, 6.2557], [6.8492, 4.5808, 0.0000]],
  "species": ["O", "O", "O", "Co", "Co", "O", "O", "Li", "O", "O", "O", "O", "O", "O", "Li", "P", "P", "P", "O", "O", "Li", "Li", "Co", "O", "O", "Co", "O", "P"],
  "fractional_positions": [[0.7283, 0.2500, 0.9662], [0.5000, 0.0467, 0.7449], [0.0000, 0.5467, 0.7551], [0.5000, 0.5000, 0.5000], [0.0000, 0.5000, 0.0000], [0.7717, 0.7500, 0.5338], [0.2717, 0.2500, 0.9662], [0.0000, 0.7500, 0.3297], [0.2283, 0.2500, 0.4662], [0.5000, 0.9533, 0.2551], [0.5000, 0.4533, 0.7449], [0.0000, 0.4533, 0.2449], [0.2717, 0.7500, 0.0338], [0.7283, 0.7500, 0.0338], [0.5000, 0.2500, 0.1703], [0.5000, 0.7500, 0.1501], [0.0000, 0.2500, 0.3500], [0.5000, 0.2500, 0.8499], [0.5000, 0.5467, 0.2551], [0.0000, 0.0467, 0.2449], [0.0000, 0.2500, 0.6703], [0.5000, 0.7500, 0.8297], [0.0000, 0.0000, 0.0000], [0.2283, 0.7500, 0.5338], [0.0000, 0.9533, 0.7551], [0.5000, 0.0000, 0.5000], [0.7717, 0.2500, 0.4662], [0.0000, 0.7500, 0.6500]]
}

# 5
{
  "formula": "CoH8S2N4O8",
  "functional": "GGA+U",
  "state": "relaxed",
  "final_energy_ev_per_cell": -129.6,
  "delta_e_f_ev_per_atom": -0.93,
  "lattice": [[-2.1918, -2.1838, -4.2520], [-4.3765, -0.9405, 3.9302], [-1.9828, 7.1667, 0.1493]],
  "species": ["O", "N", "H", "O", "S", "H", "H", "O", "N", "N", "O", "H", "H", "N", "H", "Co", "O", "S", "H", "O", "O", "O", "H"],
  "fractional_positions": [[0.1876, 0.4441, 0.3124], [0.7458, 0.6585, 0.2725], [0.6384, 0.2869, 0.7507], [0.1719, 0.0317, 0.3480], [0.8570, 0.7785, 0.7769], [0.0763, 0.3128, 0.6536], [0.9446, 0.7314, 0.3045], [0.8698, 0.1977, 0.0709], [0.5702, 0.7990, 0.2651], [0.4411, 0.2067, 0.7311], [0.8183, 0.5626, 0.6787], [0.3716, 0.0952, 0.6182], [0.6714, 0.5079, 0.2011], [0.2787, 0.3611, 0.7133], [0.3818, 0.7056, 0.2583], [0.4976, 0.0015, 0.9965], [0.6414, 0.7600, 0.8781], [0.1445, 0.2275, 0.2137], [0.6436, 0.9127, 0.3768], [0.8301, 0.9752, 0.6445], [0.1277, 0.8084, 0.9243], [0.3552, 0.2436, 0.1102], [0.3614, 0.5144, 0.7808]]
}

# 6
{
  "formula": "K2Cr3O10",
  "functional": "GGA+U",
  "state": "relaxed",
  "final_energy_ev_per_cell": -380.2,
  "delta_e_f_ev_per_atom": -1.82,
  "lattice": [[-2.6572, -4.4250, -17.5029], [-5.4843, -4.9214, 2.0768], [-9.6717, 1.4236, 1.1084]],
  "species": ["O", "Cr", "O", "Cr", "K", "Cr", "O", "O", "O", "O", "K", "O", "O", "O", "O", "O", "O", "O", "O", "O", "O", "O", "O", "O", "Cr", "O", "K", "O", "O", "O", "O", "K", "O", "Cr", "K", "O", "O", "O", "Cr", "Cr", "O", "O", "K", "O", "K", "O", "Cr", "K", "O", "O", "Cr", "O", "O", "Cr", "O", "Cr", "O", "Cr", "O", "O"],
  "fractional_positions": [[0.6452, 0.5515, 0.8553], [0.2205, 0.4192, 0.5376], [0.7644, 0.8128, 0.8101], [0.9965, 0.9189, 0.3431], [0.9093, 0.4948, 0.8716], [0.5908, 0.7453, 0.6684], [0.1452, 0.4485, 0.6447], [0.1375, 0.0254, 0.9679], [0.5688, 0.6358, 0.5786], [0.4312, 0.3642, 0.4214], [0.0907, 0.5052, 0.1284], [0.8099, 0.5964, 0.6103], [0.5793, 0.9912, 0.1710], [0.3625, 0.0254, 0.4679], [0.4207, 0.0088, 0.8290], [0.0103, 0.1925, 0.7761], [0.4753, 0.2866, 0.9519], [0.9207, 0.9912, 0.6710], [0.3548, 0.4485, 0.1447], [0.5103, 0.8075, 0.7239], [0.2356, 0.1872, 0.1899], [0.6901, 0.5964, 0.1103], [0.7739, 0.3594, 0.0549], [0.4897, 0.1925, 0.2761], [0.2795, 0.4192, 0.0376], [0.4370, 0.8745, 0.2471], [0.1963, 0.9099, 0.5639], [0.0247, 0.2866, 0.4519], [0.1901, 0.4036, 0.3897], [0.0688, 0.3642, 0.9214], [0.8625, 0.9746, 0.0321], [0.8037, 0.0901, 0.4361], [0.7356, 0.8128, 0.3101], [0.0908, 0.2547, 0.8316], [0.4093, 0.5052, 0.6284], [0.9897, 0.8075, 0.2239], [0.5630, 0.1255, 0.7529], [0.0630, 0.8745, 0.7471], [0.7205, 0.5808, 0.9624], [0.4092, 0.2547, 0.3316], [0.3099, 0.4036, 0.8897], [0.2739, 0.6406, 0.4451], [0.6963, 0.0901, 0.9361], [0.9312, 0.6358, 0.0786], [0.3037, 0.9099, 0.0639], [0.9753, 0.7134, 0.5481], [0.5035, 0.9189, 0.8431], [0.5907, 0.4948, 0.3716], [0.7261, 0.3594, 0.5549], [0.8548, 0.5515, 0.3553], [0.7795, 0.5808, 0.4624], [0.5247, 0.7134, 0.0481], [0.0793, 0.0088, 0.3290], [0.0035, 0.0811, 0.6569], [0.6375, 0.9746, 0.5321], [0.9092, 0.7453, 0.1684], [0.2261, 0.6406, 0.9451], [0.4965, 0.0811, 0.1569], [0.2644, 0.1872, 0.6899], [0.9370, 0.1255, 0.2529]]
}

# 7
{
  "formula": "KCaSmWO6",
  "functional": "GGA+U",
  "state": "relaxed",
  "final_energy_ev_per_cell": -70.1,
  "delta_e_f_ev_per_atom": -2.81,
  "lattice": [[0.0000, -4.2305, -4.2305], [4.2305, 0.0000, -4.2305], [4.2305, -4.2305, 0.0000]],
  "species": ["Ca", "O", "O", "O", "W", "Sm", "O", "K", "O", "O"],
  "fractional_positions": [[0.2500, 0.2500, 0.2500], [0.2697, 0.2697, 0.7303], [0.7303, 0.2697, 0.2697], [0.2697, 0.7303, 0.2697], [0.5000, 0.5000, 0.5000], [0.0000, 0.0000, 0.0000], [0.7303, 0.2697, 0.7303], [0.7500, 0.7500, 0.7500], [0.7303, 0.7303, 0.2697], [0.2697, 0.7303, 0.7303]]
}

# 8
{
  "formula": "Li3Mn2P2C2O14",
  "functional": "GGA+U",
  "state": "relaxed",
  "final_energy_ev_per_cell": -323.3,
  "polymorph_energy_mev_per_atom": 8,
  "delta_e_f_ev_per_atom": -2.26,
  "lattice": [[8.2020, 0.0000, 0.0000], [-2.0235, 8.0063, 0.0000], [-0.4428, -0.4778, 8.2604]],
  "species": ["P", "O", "Mn", "O", "O", "Li", "Li", "O", "O", "Li", "Li", "O", "Li", "O", "Mn", "O", "O", "O", "O", "O", "O", "O", "C", "O", "O", "O", "O", "Mn", "O", "O", "O", "P", "Mn", "Li", "C", "O", "P", "O", "O", "C", "O", "P", "O", "O", "C", "O"],
  "fractional_positions": [[0.9881, 0.7446, 0.5778], [0.3300, 0.0863, 0.5466], [0.2685, 0.5206, 0.6718], [0.1485, 0.3674, 0.8315], [0.9388, 0.8895, 0.6763], [0.6294, 0.1051, 0.2670], [0.6424, 0.5915, 0.7286], [0.8660, 0.3133, 0.3128], [0.3718, 0.7997, 0.3187], [0.9964, 0.2399, 0.0948], [0.1422, 0.1141, 0.7350], [0.6488, 0.4043, 0.1021], [0.1526, 0.6191, 0.2665], [0.1474, 0.9013, 0.0946], [0.7729, 0.0254, 0.6669], [0.7867, 0.5564, 0.9064], [0.8690, 0.6058, 0.1726], [0.1511, 0.4326, 0.4620], [0.2945, 0.0377, 0.8963], [0.4545, 0.3800, 0.6754], [0.8546, 0.0961, 0.9066], [0.9546, 0.1923, 0.5795], [0.7271, 0.9817, 0.9542], [0.1267, 0.7019, 0.6864], [0.5639, 0.2847, 0.4152], [0.6399, 0.8883, 0.8290], [0.4557, 0.7004, 0.5911], [0.2228, 0.9810, 0.3260], [0.8285, 0.5950, 0.5433], [0.3727, 0.0998, 0.1627], [0.0706, 0.1500, 0.3034], [0.5143, 0.7596, 0.4224], [0.7249, 0.4801, 0.3324], [0.3622, 0.8835, 0.7387], [0.7685, 0.5234, 0.0493], [0.6230, 0.1711, 0.6888], [0.0116, 0.2694, 0.4189], [0.5734, 0.6249, 0.3235], [0.3406, 0.5976, 0.9026], [0.2732, 0.0123, 0.0431], [0.1804, 0.4563, 0.0937], [0.4933, 0.2334, 0.5803], [0.6585, 0.9251, 0.4603], [0.0543, 0.7990, 0.4129], [0.2244, 0.4747, 0.9518], [0.6904, 0.9652, 0.0965]]
}

# 9
{
  "formula": "Li3V3P8O29",
  "functional": "GGA+U",
  "state": "relaxed",
  "final_energy_ev_per_cell": -606.6,
  "polymorph_energy_mev_per_atom": 9,
  "delta_e_f_ev_per_atom": -2.52,
  "lattice": [[9.7561, 0.0000, 0.0000], [4.8612, 8.4588, 0.0000], [0.1967, 0.0643, 14.4074]],
  "species": ["O", "O", "P", "O", "O", "P", "P", "O", "O", "O", "O", "O", "V", "O", "O", "V", "P", "O", "O", "P", "O", "V", "O", "O", "P", "O", "O", "O", "O", "O", "O", "Li", "O", "P", "O", "O", "O", "O", "Li", "Li", "O", "O", "P", "P", "O", "O", "O", "P", "Li", "O", "O", "O", "O", "P", "O", "P", "O", "O", "O", "P", "O", "O", "O", "O", "O", "O", "O", "O", "V", "O", "Li", "P", "O", "O", "O", "O", "O", "P", "V", "V", "P", "O", "O", "O", "Li", "O"],
  "fractional_positions": [[0.4714, 0.6209, 0.8242], [0.0921, 0.6526, 0.6721], [0.6665, 0.6708, 0.1364], [0.0879, 0.3824, 0.6704], [0.6555, 0.2615, 0.6716], [0.9102, 0.3135, 0.8355], [0.0901, 0.6828, 0.1611], [0.2065, 0.8003, 0.7498], [0.9129, 0.3423, 0.3396], [0.4885, 0.1861, 0.3239], [0.7649, 0.2290, 0.0659], [0.8133, 0.6724, 0.6760], [0.4360, 0.9956, 0.7484], [0.6629, 0.0827, 0.1655], [0.2148, 0.9842, 0.2370], [0.4342, 0.5615, 0.2516], [0.3336, 0.3309, 0.3688], [0.7656, 0.9839, 0.9298], [0.5250, 0.6610, 0.1806], [0.6665, 0.6671, 0.6331], [0.7364, 0.9168, 0.3358], [0.5655, 0.4367, 0.7518], [0.9884, 0.8006, 0.2435], [0.2027, 0.7916, 0.5754], [0.2268, 0.6949, 0.6597], [0.2579, 0.6587, 0.1685], [0.3390, 0.9172, 0.8405], [0.7943, 0.9989, 0.7520], [0.5275, 0.3813, 0.1781], [0.3257, 0.3384, 0.9693], [0.0045, 0.2247, 0.9168], [0.2187, 0.0849, 0.9402], [0.6155, 0.4619, 0.3277], [0.7725, 0.9070, 0.8404], [0.0825, 0.2601, 0.1754], [0.9218, 0.6176, 0.3320], [0.5162, 0.8149, 0.6780], [0.8000, 0.2100, 0.2425], [0.0895, 0.6811, 0.9430], [0.7819, 0.9273, 0.0552], [0.9912, 0.8049, 0.4207], [0.7847, 0.2027, 0.4180], [0.2279, 0.0934, 0.1574], [0.3053, 0.9124, 0.3343], [0.6775, 0.6711, 0.0340], [0.6623, 0.8224, 0.1782], [0.2583, 0.0847, 0.6736], [0.6882, 0.0902, 0.6630], [0.6791, 0.0907, 0.4518], [0.5298, 0.0884, 0.6765], [0.9204, 0.7387, 0.8352], [0.4618, 0.9187, 0.3258], [0.9860, 0.2114, 0.7407], [0.3275, 0.3343, 0.8662], [0.6204, 0.8999, 0.8198], [0.9129, 0.7809, 0.3406], [0.4688, 0.3451, 0.8188], [0.0989, 0.5213, 0.1830], [0.7702, 0.0169, 0.5739], [0.6891, 0.2294, 0.1545], [0.9045, 0.4738, 0.8177], [0.3447, 0.7382, 0.3325], [0.2359, 0.0270, 0.0648], [0.1852, 0.3247, 0.3331], [0.3498, 0.3153, 0.4713], [0.0076, 0.7522, 0.0715], [0.2002, 0.0036, 0.4132], [0.3374, 0.1792, 0.8273], [0.9973, 0.4368, 0.2530], [0.2216, 0.7691, 0.9245], [0.0936, 0.2277, 0.4428], [0.7750, 0.3042, 0.3379], [0.3791, 0.1029, 0.1811], [0.6707, 0.5196, 0.6790], [0.3874, 0.5413, 0.6698], [0.8174, 0.5281, 0.1848], [0.3276, 0.4808, 0.3236], [0.3104, 0.7734, 0.8413], [0.9970, 0.5662, 0.7439], [0.5614, 0.0056, 0.2513], [0.0878, 0.2240, 0.6568], [0.7381, 0.3448, 0.8338], [0.1760, 0.4798, 0.8251], [0.6670, 0.6721, 0.5304], [0.0389, 0.9359, 0.4993], [0.0269, 0.2103, 0.5654]]
}

# 10
{
  "formula": "Li2CrP2O7",
  "functional": "GGA+U",
  "state": "relaxed",
  "final_energy_ev_per_cell": -166.9,
  "polymorph_energy_mev_per_atom": 48,
  "delta_e_f_ev_per_atom": -2.61,
  "lattice": [[-1.8652, -2.7341, -4.5495], [5.9008, 2.0320, -1.4922], [0.5755, -7.3173, 5.0463]],
  "species": ["Li", "O", "O", "Li", "O", "O", "P", "O", "Cr", "P", "O", "O", "O", "P", "O", "Li", "O", "Li", "P", "Cr", "O", "O", "O", "O"],
  "fractional_positions": [[0.2878, 0.2175, 0.7680], [0.9345, 0.6948, 0.5777], [0.9228, 0.1085, 0.6715], [0.8524, 0.2314, 0.0439], [0.8012, 0.5603, 0.8413], [0.2751, 0.0908, 0.9595], [0.2412, 0.1489, 0.4012], [0.0652, 0.3048, 0.4221], [0.1226, 0.6142, 0.3807], [0.3817, 0.2956, 0.1211], [0.3465, 0.5623, 0.8648], [0.6025, 0.8120, 0.7359], [0.4276, 0.2168, 0.5547], [0.6184, 0.7045, 0.8790], [0.1987, 0.4396, 0.1586], [0.7124, 0.7827, 0.2321], [0.5723, 0.7834, 0.4453], [0.1475, 0.7689, 0.9560], [0.7587, 0.8509, 0.5987], [0.8775, 0.3857, 0.6193], [0.7253, 0.9094, 0.0405], [0.3974, 0.1879, 0.2640], [0.6535, 0.4379, 0.1355], [0.0774, 0.8913, 0.3285]]
}

Number 1: E (MP2020) -6.522 eV per atom. Number 2: E (MP2020) -6.488 eV per atom. Number 3: E (MP2020) -6.814 eV per atom. Number 4: E (MP2020) -7.261 eV per atom. Number 5: E (MP2020) -5.945 eV per atom. Number 6: E (MP2020) -7.195 eV per atom. Number 7: E (MP2020) -7.863 eV per atom. Number 8: E (MP2020) -7.591 eV per atom. Number 9: E (MP2020) -7.635 eV per atom. Number 10: E (MP2020) -7.523 eV per atom.